1.
Nb4As3: optimized geometry, r2SCAN.

Summary:
Its formation energy is -0.68 eV per atom. The value obtained for the total magnetic moment is 0.00 Bohr magnetons per cell. The total DFT energy (no corrections) is -21.119 eV per atom.

a b c (Å): 3.5553 14.7786 18.8372
angles (deg): 90.00 90.00 90.00
Last column: nearest neighbours and their distance in Å.
Space group Cmcm (No. 63)
One atom of each set of equivalent atoms:
Nb (0.0000, 0.0000, 0.0000) x4  4 As 2.65-2.73, 4 Nb 2.90
Nb (0.0000, 0.0566, 0.2500) x4  6 As 2.59-2.73
Nb (0.0000, 0.2637, 0.1598) x8  6 As 2.55-2.83
Nb (0.0000, 0.3282, 0.5266) x8  5 As 2.67-2.73
Nb (0.0000, 0.4684, 0.1193) x8  5 As 2.58-2.66
As (0.0000, 0.1002, 0.1170) x8  7 Nb 2.55-2.68
As (0.0000, 0.1554, 0.5785) x8  8 Nb 2.63-2.73
As (0.0000, 0.3045, 0.7500) x4  6 Nb 2.66-2.72
As (0.0000, 0.4166, 0.2500) x4  6 Nb 2.58-2.83



2.
Ca2Se3O8: optimized geometry, r2SCAN.

Summary:
Its formation energy is -1.77 eV per atom. The value obtained for the total magnetic moment is 0.00 Bohr magnetons per cell. The total DFT energy (no corrections) is -9.831 eV per atom.

a b c (Å): 5.5245 8.2397 8.7276
angles (deg): 92.61 96.00 97.21
Last column: nearest neighbours and their distance in Å.
Space group P-1 (No. 2)
One atom of each set of equivalent atoms:
Ca (0.2082, 0.3394, 0.0387) x2  7 O 2.31-2.54
Ca (0.2579, 0.5442, 0.6526) x2  8 O 2.40-2.60
Se (0.2257, 0.1762, 0.4223) x2  3 O 1.68-1.81
Se (0.2737, 0.9437, 0.8169) x2  2 O 1.65-1.68
Se (0.3234, 0.6916, 0.2389) x2  3 O 1.70-1.72
O (0.0049, 0.0216, 0.3122) x2  2 Se 1.81-1.87
O (0.0485, 0.3144, 0.4794) x2  1 Se 1.68
O (0.0477, 0.5736, 0.1791) x2  1 Se 1.72
O (0.1825, 0.7536, 0.8694) x2  1 Se 1.68
O (0.2481, 0.0726, 0.9630) x2  1 Se 1.65
O (0.3679, 0.2660, 0.2806) x2  1 Se 1.68
O (0.4127, 0.6289, 0.4162) x2  1 Se 1.70
O (0.4910, 0.4172, 0.8604) x2  1 Se 1.72



3.
Al2Se3O12: optimized geometry, r2SCAN.

Summary:
Its formation energy is -1.43 eV per atom. The value obtained for the total magnetic moment is 0.00 Bohr magnetons per cell. The total DFT energy (no corrections) is -8.966 eV per atom.

a b c (Å): 8.3130 8.3130 22.2229
angles (deg): 90.00 90.00 120.00
Last column: nearest neighbours and their distance in Å.
Space group R-3 (No. 148, hexagonal axes)
One atom of each set of equivalent atoms:
Al (0.0000, 0.0000, 0.1417) x6  6 O 1.88-1.89
Al (0.0000, 0.0000, 0.3518) x6  6 O 1.89
Se (0.0026, 0.7156, 0.7489) x18  4 O 1.63-1.65
O (0.0139, 0.1979, 0.1867) x18  1 Se 1.64
O (0.0347, 0.8436, 0.0881) x18  1 Se 1.63
O (0.0903, 0.8758, 0.4003) x18  1 Se 1.64
O (0.0932, 0.8782, 0.6966) x18  1 Se 1.65



4.
NbZn2: optimized geometry, r2SCAN.

Summary:
Its formation energy is -0.22 eV per atom. The value obtained for the total magnetic moment is 0.00 Bohr magnetons per cell. The total DFT energy (no corrections) is -14.410 eV per atom.

a b c (Å): 5.0284 5.0284 16.2602
angles (deg): 90.00 90.00 120.00
Last column: nearest neighbours and their distance in Å.
Space group P6_3/mmc (No. 194)
One atom of each set of equivalent atoms:
Nb (0.0000, 0.0000, 0.0909) x4  12 Zn 2.92-2.96, 4 Nb 2.95-3.10
Nb (0.3333, 0.6667, 0.1568) x4  12 Zn 2.93-2.94, 4 Nb 3.03-3.10
Zn (0.0000, 0.5000, 0.0000) x6  6 Zn 2.51-2.52
Zn (0.1608, 0.3216, 0.7500) x6  6 Zn 2.43-2.60
Zn (0.3333, 0.6667, 0.6269) x4  6 Zn 2.50-2.52



5.
CaZn2P2: optimized geometry, r2SCAN.

Summary:
Its formation energy is -0.83 eV per atom. The value obtained for the total magnetic moment is 0.00 Bohr magnetons per cell. The total DFT energy (no corrections) is -9.399 eV per atom.

a b c (Å): 4.0154 4.0154 6.8129
angles (deg): 90.00 90.00 120.00
Last column: nearest neighbours and their distance in Å.
Space group P-3m1 (No. 164)
One atom of each set of equivalent atoms:
Ca (0.0000, 0.0000, 0.0000) x1  6 P 2.93
Zn (0.3333, 0.6667, 0.6333) x2  4 P 2.42-2.52
P (0.3333, 0.6667, 0.2638) x2  4 Zn 2.42-2.52



6.
TbInPd2: optimized geometry, r2SCAN.

Summary:
Its formation energy is -0.87 eV per atom. The value obtained for the total magnetic moment is 0.00 Bohr magnetons per cell. The total DFT energy (no corrections) is -25.803 eV per atom.

a b c (Å): 6.7663 6.7663 6.7663
angles (deg): 90.00 90.00 90.00
Last column: nearest neighbours and their distance in Å.
Space group Fm-3m (No. 225)
One atom of each set of equivalent atoms:
Tb (0.0000, 0.0000, 0.0000) x4  8 Pd 2.93
In (0.0000, 0.0000, 0.5000) x4  8 Pd 2.93
Pd (0.2500, 0.2500, 0.2500) x8  4 Tb 2.93, 4 In 2.93



7.
Dy2AlZn: optimized geometry, r2SCAN.

Summary:
Its formation energy is -0.42 eV per atom. The value obtained for the total magnetic moment is 0.00 Bohr magnetons per cell. The total DFT energy (no corrections) is -20.325 eV per atom.

a b c (Å): 7.1454 7.1454 7.1454
angles (deg): 90.00 90.00 90.00
Last column: nearest neighbours and their distance in Å.
Space group Fm-3m (No. 225)
One atom of each set of equivalent atoms:
Dy (0.2500, 0.2500, 0.2500) x8  4 Al 3.09, 4 Zn 3.09
Al (0.0000, 0.0000, 0.0000) x4  8 Dy 3.09
Zn (0.0000, 0.0000, 0.5000) x4  8 Dy 3.09



8.
Y2Cr2C3: optimized geometry, r2SCAN.

Summary:
Its formation energy is -0.34 eV per atom. The value obtained for the total magnetic moment is 3.01 Bohr magnetons per cell. The total DFT energy (no corrections) is -14.714 eV per atom.

a b c (Å): 10.4216 3.3915 5.5372
angles (deg): 90.00 105.51 90.00
Last column: nearest neighbours and their distance in Å.
Space group C2/m (No. 12)
One atom of each set of equivalent atoms:
Y (0.1053, 0.0000, 0.3169) x4  5 C 2.47-2.68
Cr (0.1564, 0.5000, 0.8883) x4  4 C 1.89-2.00
C (0.0000, 0.5000, 0.0000) x2  2 Cr 1.89
C (0.2130, 0.0000, 0.7722) x4  3 Cr 1.96-2.00